Entry 1:
Below is a geometry-optimized PrI3O9 structure, with properties calculated at the r2SCAN level.

Values from the calculation:
**Theoretical density**: 5.5 g/cm³
**Symmetry**: P2_1/c (14)

Cell lengths 5.9198, 8.8751, 16.8220 Å; angles 65.47, 90.00, 90.00 degrees
Closest atoms and distances in Å follow each position.
Sites, in units of the cell vectors:
Pr 0.7653 0.8618 0.0991  8 O 2.43-2.66
Pr 0.2653 0.1382 0.4009  8 O 2.43-2.66
Pr 0.7347 0.8618 0.5991  8 O 2.43-2.66
Pr 0.2347 0.1382 0.9009  8 O 2.43-2.66
I 0.6394 0.3611 0.4769  3 O 1.82-1.85
I 0.8119 0.9293 0.3494  3 O 1.82-1.83
I 0.4086 0.5842 0.8007  3 O 1.81-1.83
I 0.0914 0.5842 0.3007  3 O 1.81-1.83
I 0.3606 0.6389 0.5231  3 O 1.82-1.85
I 0.6881 0.9293 0.8494  3 O 1.82-1.83
I 0.9086 0.4158 0.6993  3 O 1.81-1.83
I 0.8606 0.3611 0.9769  3 O 1.82-1.85
I 0.1394 0.6389 0.0231  3 O 1.82-1.85
I 0.5914 0.4158 0.1993  3 O 1.81-1.83
I 0.3119 0.0707 0.1506  3 O 1.82-1.83
I 0.1881 0.0707 0.6506  3 O 1.82-1.83
O 0.9099 0.3312 0.6180  1 I 1.81
O 0.1101 0.9038 0.1702  1 I 1.82
O 0.9143 0.9094 0.4557  1 I 1.83
O 0.1852 0.3425 0.7448  1 I 1.81
O 0.6852 0.6575 0.7552  1 I 1.81
O 0.8148 0.6575 0.2552  1 I 1.81
O 0.0887 0.3615 0.0519  1 I 1.85
O 0.5857 0.9094 0.9557  1 I 1.83
O 0.4143 0.0906 0.0443  1 I 1.83
O 0.0857 0.0906 0.5443  1 I 1.83
O 0.3899 0.9038 0.6702  1 I 1.82
O 0.4495 0.0601 0.7941  1 I 1.82
O 0.0505 0.0601 0.2941  1 I 1.82
O 0.9113 0.6385 0.9481  1 I 1.85
O 0.4695 0.4052 0.3800  1 I 1.82
O 0.4113 0.3615 0.5519  1 I 1.85
O 0.6101 0.0962 0.3298  1 I 1.82
O 0.4059 0.8627 0.4912  1 I 1.85
O 0.9495 0.9399 0.7059  1 I 1.82
O 0.5505 0.9399 0.2059  1 I 1.82
O 0.8899 0.0962 0.8298  1 I 1.82
O 0.0305 0.4052 0.8800  1 I 1.82
O 0.5941 0.1373 0.5088  1 I 1.85
O 0.0024 0.6276 0.6323  1 I 1.83
O 0.5305 0.5948 0.6200  1 I 1.82
O 0.5901 0.3312 0.1180  1 I 1.81
O 0.5887 0.6385 0.4481  1 I 1.85
O 0.5024 0.3724 0.8677  1 I 1.83
O 0.9695 0.5948 0.1200  1 I 1.82
O 0.9976 0.3724 0.3677  1 I 1.83
O 0.9059 0.1373 0.0088  1 I 1.85
O 0.3148 0.3425 0.2448  1 I 1.81
O 0.4099 0.6688 0.8820  1 I 1.81
O 0.4976 0.6276 0.1323  1 I 1.83
O 0.0941 0.8627 0.9912  1 I 1.85
O 0.0901 0.6688 0.3820  1 I 1.81


Entry 2:
Below is a geometry-optimized PrIO structure, with properties calculated at the r2SCAN level.

Values from the calculation:
**Theoretical density**: 5.9 g/cm³
**Symmetry**: P4/nmm (129)

Cell lengths 4.1185, 4.1185, 9.4192 Å; angles 90.00, 90.00, 90.00 degrees
Closest atoms and distances in Å follow each position.
Sites, in units of the cell vectors:
Pr 0.7500 0.7500 0.8751  4 O 2.37
Pr 0.2500 0.2500 0.1249  4 O 2.37
I 0.2500 0.2500 0.6732  4 Pr 3.48, 4 O 3.70
I 0.7500 0.7500 0.3268  4 Pr 3.48, 4 O 3.70
O 0.7500 0.2500 0.0000  4 Pr 2.37
O 0.2500 0.7500 0.0000  4 Pr 2.37


Entry 3:
Below is a geometry-optimized Pr7I3O18 structure, with properties calculated at the r2SCAN level.

Values from the calculation:
**Theoretical density**: 5.4 g/cm³
**Symmetry**: P6_3/m (176)

Cell lengths 17.1580, 17.1580, 4.0184 Å; angles 90.00, 90.00, 120.00 degrees
Closest atoms and distances in Å follow each position.
Sites, in units of the cell vectors:
Pr 0.4412 0.3237 0.2500  4 O 2.15-2.40
Pr 0.5588 0.6763 0.7500  4 O 2.15-2.40
Pr 0.6763 0.1175 0.2500  4 O 2.15-2.40
Pr 0.3237 0.8825 0.7500  4 O 2.15-2.40
Pr 0.8825 0.5588 0.2500  4 O 2.15-2.40
Pr 0.1175 0.4412 0.7500  4 O 2.15-2.40
Pr 0.1597 0.2222 0.2500  4 O 2.27-2.32
Pr 0.8403 0.7778 0.7500  4 O 2.27-2.32
Pr 0.7778 0.9375 0.2500  4 O 2.27-2.32
Pr 0.2222 0.0625 0.7500  4 O 2.27-2.32
Pr 0.0625 0.8403 0.2500  4 O 2.27-2.32
Pr 0.9375 0.1597 0.7500  4 O 2.27-2.32
Pr 0.3333 0.6667 0.2500  9 O 2.50-2.61
Pr 0.6667 0.3333 0.7500  9 O 2.50-2.61
I 0.4585 0.1237 0.2500  2 O 1.89-1.92
I 0.5415 0.8763 0.7500  2 O 1.89-1.92
I 0.8763 0.3348 0.2500  2 O 1.89-1.92
I 0.1237 0.6652 0.7500  2 O 1.89-1.92
I 0.6652 0.5415 0.2500  2 O 1.89-1.92
I 0.3348 0.4585 0.7500  2 O 1.89-1.92
O 0.1025 0.5106 0.2500  1 O 1.51
O 0.8975 0.4894 0.7500  1 O 1.51
O 0.4894 0.5919 0.2500  1 O 1.51
O 0.5106 0.4081 0.7500  1 O 1.51
O 0.4081 0.8975 0.2500  1 O 1.51
O 0.5919 0.1025 0.7500  1 O 1.51
O 0.3111 0.3130 0.2500  2 Pr 2.15-2.27
O 0.6889 0.6870 0.7500  2 Pr 2.15-2.27
O 0.6870 0.9981 0.2500  2 Pr 2.15-2.27
O 0.3130 0.0019 0.7500  2 Pr 2.15-2.27
O 0.0019 0.6889 0.2500  2 Pr 2.15-2.27
O 0.9981 0.3111 0.7500  2 Pr 2.15-2.27
O 0.1863 0.1047 0.2500  3 Pr 2.28-2.32
O 0.8137 0.8953 0.7500  3 Pr 2.28-2.32
O 0.8953 0.0815 0.2500  3 Pr 2.28-2.32
O 0.1047 0.9185 0.7500  3 Pr 2.28-2.32
O 0.9185 0.8137 0.2500  3 Pr 2.28-2.32
O 0.0815 0.1863 0.7500  3 Pr 2.28-2.32
O 0.1929 0.5161 0.2500  1 O 1.51
O 0.8071 0.4839 0.7500  1 O 1.51
O 0.4839 0.6768 0.2500  1 O 1.51
O 0.5161 0.3232 0.7500  1 O 1.51
O 0.3232 0.8071 0.2500  1 O 1.51
O 0.6768 0.1929 0.7500  1 O 1.51
O 0.3729 0.1626 0.2500  1 I 1.89
O 0.6271 0.8374 0.7500  1 I 1.89
O 0.8374 0.2103 0.2500  1 I 1.89
O 0.1626 0.7897 0.7500  1 I 1.89
O 0.7897 0.6271 0.2500  1 I 1.89
O 0.2103 0.3729 0.7500  1 I 1.89
O 0.5698 0.2368 0.2500  1 I 1.92
O 0.4302 0.7632 0.7500  1 I 1.92
O 0.7632 0.3330 0.2500  1 I 1.92
O 0.2368 0.6670 0.7500  1 I 1.92
O 0.6670 0.4302 0.2500  1 I 1.92
O 0.3330 0.5698 0.7500  1 I 1.92


Entry 4:
Below is a geometry-optimized SI2O6 structure, with properties calculated at the r2SCAN level.

Values from the calculation:
**Theoretical density**: 4.3 g/cm³
**Symmetry**: C2/c (15)

Cell lengths 4.7007, 7.9497, 8.8259 Å; angles 73.01, 74.56, 72.80 degrees
Closest atoms and distances in Å follow each position.
Sites, in units of the cell vectors:
S 0.1828 0.2500 0.7500  4 O 1.48-1.49
S 0.8172 0.7500 0.2500  4 O 1.48-1.49
I 0.5395 0.5744 0.7514  2 O 1.97-1.98
I 0.8653 0.9256 0.7486  2 O 1.97-1.98
I 0.4605 0.4256 0.2486  2 O 1.97-1.98
I 0.1347 0.0744 0.2514  2 O 1.97-1.98
O 0.3378 0.3933 0.6483  1 S 1.48
O 0.3794 0.1067 0.8517  1 S 1.48
O 0.6622 0.6067 0.3517  1 S 1.48
O 0.6206 0.8933 0.1483  1 S 1.48
O 0.9079 0.3249 0.8623  1 S 1.49
O 0.0950 0.1751 0.6377  1 S 1.49
O 0.7410 0.2126 0.3539  2 I 1.97-1.98
O 0.3075 0.2874 0.1461  2 I 1.97-1.98
O 0.2590 0.7874 0.6461  2 I 1.97-1.98
O 0.6925 0.7126 0.8539  2 I 1.97-1.98
O 0.9050 0.8249 0.3623  1 S 1.49
O 0.0921 0.6751 0.1377  1 S 1.49


Entry 5:
Below is a geometry-optimized S4I2O15 structure, with properties calculated at the r2SCAN level.

Values from the calculation:
**Theoretical density**: 3.4 g/cm³
**Symmetry**: P1 (1)

Cell lengths 5.4514, 6.6770, 9.0782 Å; angles 95.89, 94.46, 109.14 degrees
Closest atoms and distances in Å follow each position.
Sites, in units of the cell vectors:
S 0.7160 0.3238 0.8603  3 O 1.42-1.51
S 0.5518 0.7886 0.2328  3 O 1.41-1.53
S 0.3682 0.3483 0.2880  3 O 1.41-1.57
S 0.1244 0.8346 0.6423  3 O 1.42-1.51
I 0.0505 0.3459 0.5663  2 O 1.98-2.03
I 0.8485 0.8167 0.9518  3 O 1.95-2.14
O 0.8834 0.8213 0.7184  1 S 1.51
O 0.0218 0.6217 0.5227  1 S 1.61
O 0.9313 0.5525 0.9311  1 S 1.62
O 0.3735 0.4233 0.4578  1 S 1.57
O 0.7124 0.3265 0.6945  1 S 1.51
O 0.1337 0.1793 0.2337  1 S 1.41
O 0.3327 0.5463 0.2114  2 S 1.61-1.65
O 0.7892 0.7513 0.1714  1 S 1.53
O 0.3369 0.8288 0.7406  1 S 1.42
O 0.6195 0.3388 0.2708  1 S 1.41
O 0.1671 0.0016 0.5488  1 S 1.44
O 0.4673 0.3113 0.9034  1 S 1.42
O 0.6114 0.8603 0.3877  1 S 1.41
O 0.8452 0.1832 0.9112  1 S 1.44
O 0.4329 0.8909 0.1344  1 S 1.42


Entry 6:
Below is a geometry-optimized Sb4I2O5 structure, with properties calculated at the r2SCAN level.

Values from the calculation:
**Theoretical density**: 5.4 g/cm³
**Symmetry**: P2_1/c (14)

Cell lengths 5.2156, 7.2533, 13.4945 Å; angles 82.41, 90.00, 90.00 degrees
Closest atoms and distances in Å follow each position.
Sites, in units of the cell vectors:
Sb 0.6140 0.8189 0.2972  3 O 2.00-2.12
Sb 0.1140 0.1811 0.2028  3 O 2.00-2.12
Sb 0.3860 0.1811 0.7028  3 O 2.00-2.12
Sb 0.8860 0.8189 0.7972  3 O 2.00-2.12
Sb 0.7232 0.1572 0.4443  2 O 1.93-2.07
Sb 0.2232 0.8428 0.0557  2 O 1.93-2.07
Sb 0.2768 0.8428 0.5557  2 O 1.93-2.07
Sb 0.7768 0.1572 0.9443  2 O 1.93-2.07
I 0.7113 0.4833 0.1214  1 Sb 3.13, 1 O 3.48
I 0.2113 0.5167 0.3786  1 Sb 3.13, 1 O 3.48
I 0.2887 0.5167 0.8786  1 Sb 3.13, 1 O 3.48
I 0.7887 0.4833 0.6214  1 Sb 3.13, 1 O 3.48
O 0.5053 0.0645 0.5818  3 Sb 2.03-2.20
O 0.0053 0.9355 0.9182  3 Sb 2.03-2.20
O 0.4947 0.9355 0.4182  3 Sb 2.03-2.20
O 0.9947 0.0645 0.0818  3 Sb 2.03-2.20
O 0.8357 0.0647 0.2918  2 Sb 2.00-2.12
O 0.3357 0.9353 0.2082  2 Sb 2.00-2.12
O 0.1643 0.9353 0.7082  2 Sb 2.00-2.12
O 0.6643 0.0647 0.7918  2 Sb 2.00-2.12
O 0.5000 0.0000 0.0000  2 Sb 1.93
O 0.0000 0.0000 0.5000  2 Sb 1.93


Entry 7:
Below is a geometry-optimized Sb3IO4 structure, with properties calculated at the r2SCAN level.

Values from the calculation:
**Theoretical density**: 5.3 g/cm³
**Symmetry**: Pna2_1 (33)

Cell lengths 4.5949, 15.8121, 19.0531 Å; angles 90.00, 90.00, 90.00 degrees
Closest atoms and distances in Å follow each position.
Sites, in units of the cell vectors:
Sb 0.6470 0.1788 0.0407  3 O 1.97-2.09
Sb 0.3530 0.6788 0.9593  3 O 1.97-2.09
Sb 0.8530 0.1788 0.5407  3 O 1.97-2.09
Sb 0.1470 0.6788 0.4593  3 O 1.97-2.09
Sb 0.1307 0.0606 0.3723  3 O 1.96-2.19
Sb 0.8693 0.5606 0.6277  3 O 1.96-2.19
Sb 0.3693 0.0606 0.8723  3 O 1.96-2.19
Sb 0.6307 0.5606 0.1277  3 O 1.96-2.19
Sb 0.1529 0.1459 0.2106  3 O 1.97-2.09
Sb 0.8471 0.6459 0.7894  3 O 1.97-2.09
Sb 0.3471 0.1459 0.7106  3 O 1.97-2.09
Sb 0.6529 0.6459 0.2894  3 O 1.97-2.09
Sb 0.1586 0.3402 0.0088  3 O 1.98-2.04
Sb 0.8414 0.8402 0.9912  3 O 1.98-2.04
Sb 0.3414 0.3402 0.5088  3 O 1.98-2.04
Sb 0.6586 0.8402 0.4912  3 O 1.98-2.04
Sb 0.1660 0.4846 0.2573  3 O 1.98-2.04
Sb 0.8340 0.9846 0.7427  3 O 1.98-2.04
Sb 0.3340 0.4846 0.7573  3 O 1.98-2.04
Sb 0.6660 0.9846 0.2427  3 O 1.98-2.04
Sb 0.3774 0.7644 0.1209  3 O 1.96-2.19
Sb 0.6226 0.2644 0.8791  3 O 1.96-2.19
Sb 0.1226 0.7644 0.6209  3 O 1.96-2.19
Sb 0.8774 0.2644 0.3791  3 O 1.96-2.19
I 0.2676 0.0026 0.0725  4 Sb 3.34-3.74, 4 O 3.53-3.73
I 0.7324 0.5026 0.9275  4 Sb 3.34-3.74, 4 O 3.53-3.73
I 0.2324 0.0026 0.5725  4 Sb 3.34-3.74, 4 O 3.53-3.73
I 0.7676 0.5026 0.4275  4 Sb 3.34-3.74, 4 O 3.53-3.73
I 0.7547 0.3217 0.1783  4 Sb 3.38-3.74, 5 O 3.53-3.78
I 0.2453 0.8217 0.8217  4 Sb 3.38-3.74, 5 O 3.53-3.78
I 0.7453 0.3217 0.6783  4 Sb 3.38-3.74, 5 O 3.53-3.78
I 0.2547 0.8217 0.3217  4 Sb 3.38-3.74, 5 O 3.53-3.78
O 0.2480 0.2248 0.0447  2 Sb 1.97-1.99
O 0.7520 0.7248 0.9553  2 Sb 1.97-1.99
O 0.2520 0.2248 0.5447  2 Sb 1.97-1.99
O 0.7480 0.7248 0.4553  2 Sb 1.97-1.99
O 0.2486 0.7932 0.0083  3 Sb 2.04-2.27
O 0.7514 0.2932 0.9917  3 Sb 2.04-2.27
O 0.2514 0.7932 0.5083  3 Sb 2.04-2.27
O 0.7486 0.2932 0.4917  3 Sb 2.04-2.27
O 0.2514 0.5192 0.1596  2 Sb 1.96-1.98
O 0.7486 0.0192 0.8404  2 Sb 1.96-1.98
O 0.2486 0.5192 0.6596  2 Sb 1.96-1.98
O 0.7514 0.0192 0.3404  2 Sb 1.96-1.98
O 0.2575 0.3050 0.4112  2 Sb 1.96-1.98
O 0.7425 0.8050 0.5888  2 Sb 1.96-1.98
O 0.2425 0.3050 0.9112  2 Sb 1.96-1.98
O 0.7575 0.8050 0.0888  2 Sb 1.96-1.98
O 0.2540 0.6001 0.2930  2 Sb 1.97-1.99
O 0.7460 0.1001 0.7070  2 Sb 1.97-1.99
O 0.2460 0.6001 0.7930  2 Sb 1.97-1.99
O 0.7540 0.1001 0.2070  2 Sb 1.97-1.99
O 0.2585 0.0317 0.2597  3 Sb 2.04-2.27
O 0.7415 0.5317 0.7403  3 Sb 2.04-2.27
O 0.2415 0.0317 0.7597  3 Sb 2.04-2.27
O 0.7585 0.5317 0.2403  3 Sb 2.04-2.27
O 0.1196 0.1724 0.3163  3 Sb 2.06-2.19
O 0.8804 0.6724 0.6837  3 Sb 2.06-2.19
O 0.3804 0.1724 0.8163  3 Sb 2.06-2.19
O 0.6196 0.6724 0.1837  3 Sb 2.06-2.19
O 0.3869 0.6525 0.0651  3 Sb 2.06-2.19
O 0.6131 0.1525 0.9349  3 Sb 2.06-2.19
O 0.1131 0.6525 0.5651  3 Sb 2.06-2.19
O 0.8869 0.1525 0.4349  3 Sb 2.06-2.19


Entry 8:
Below is a geometry-optimized Ti4Te9I4O structure, with properties calculated at the r2SCAN level.

Values from the calculation:
**Theoretical density**: 5.2 g/cm³
**Symmetry**: C2/c (15)

Cell lengths 11.8455, 11.8455, 19.8313 Å; angles 57.86, 57.86, 30.99 degrees
Closest atoms and distances in Å follow each position.
Sites, in units of the cell vectors:
Ti 0.0065 0.1248 0.1378  1 O 2.07
Ti 0.5927 0.2588 0.2334  1 O 2.08
Ti 0.1248 0.0065 0.6378  1 O 2.07
Ti 0.4073 0.7412 0.7666  1 O 2.08
Ti 0.2588 0.5927 0.7334  1 O 2.08
Ti 0.8752 0.9935 0.3622  1 O 2.07
Ti 0.7412 0.4073 0.2666  1 O 2.08
Ti 0.9935 0.8752 0.8622  1 O 2.07
Te 0.6954 0.3046 0.7500  4 Ti 2.97-2.98, 2 O 3.16-3.17
Te 0.4025 0.6597 0.5663  1 Te 2.73, 2 Ti 2.79-2.83
Te 0.8098 0.8478 0.3297  1 Te 2.72, 2 Ti 2.80-2.83
Te 0.4592 0.2099 0.4027  1 Te 2.72, 2 Ti 2.80-2.82
Te 0.0684 0.0326 0.8770  1 Te 2.73, 2 Ti 2.78-2.84
Te 0.1902 0.1522 0.6703  1 Te 2.72, 2 Ti 2.80-2.83
Te 0.5975 0.3403 0.4337  1 Te 2.73, 2 Ti 2.79-2.83
Te 0.8478 0.8098 0.8297  1 Te 2.72, 2 Ti 2.80-2.83
Te 0.1522 0.1902 0.1703  1 Te 2.72, 2 Ti 2.80-2.83
Te 0.3046 0.6954 0.2500  4 Ti 2.97-2.98, 2 O 3.16-3.17
Te 0.9674 0.9316 0.6230  1 Te 2.73, 2 Ti 2.78-2.84
Te 0.2099 0.4592 0.9027  1 Te 2.72, 2 Ti 2.80-2.82
Te 0.6597 0.4025 0.0663  1 Te 2.73, 2 Ti 2.79-2.83
Te 0.9316 0.9674 0.1230  1 Te 2.73, 2 Ti 2.78-2.84
Te 0.7901 0.5408 0.0973  1 Te 2.72, 2 Ti 2.80-2.82
Te 0.5408 0.7901 0.5973  1 Te 2.72, 2 Ti 2.80-2.82
Te 0.0326 0.0684 0.3770  1 Te 2.73, 2 Ti 2.78-2.84
Te 0.3403 0.5975 0.9337  1 Te 2.73, 2 Ti 2.79-2.83
I 0.7275 0.6019 0.7868  1 Ti 2.73
I 0.2725 0.3981 0.2132  1 Ti 2.73
I 0.3981 0.2725 0.7132  1 Ti 2.73
I 0.6019 0.7275 0.2868  1 Ti 2.73
I 0.9765 0.3157 0.4983  1 Ti 2.74
I 0.0235 0.6843 0.5017  1 Ti 2.74
I 0.6843 0.0235 0.0017  1 Ti 2.74
I 0.3157 0.9765 0.9983  1 Ti 2.74
O 0.8036 0.1964 0.2500  4 Ti 2.07-2.08
O 0.1964 0.8036 0.7500  4 Ti 2.07-2.08


no.,energy of formation (meV per atom)
1,-1098
2,-2958
3,-2084
4,-698
5,-980
6,-1204
7,-1292
8,-888